i.
First-principles (GGA+U) data for a relaxed KSrLaMnO6 crystal, as listed in Materials Project.

Results
Its total magnetization is 4.000 Bohr magnetons per cell.

Lattice parameters (Å, degrees): 8.3985 8.4369 8.4779 90.00 90.00 90.00
With the nearest neighbours (Å) after each atom.
Element x y z (fractional)
K1 0.2500 0.2500 0.2500  8 O 2.81-3.13
K2 0.2500 0.7500 0.2500  8 O 2.77-3.09
K3 0.7500 0.2500 0.7500  8 O 2.77-3.09
K4 0.7500 0.7500 0.7500  8 O 2.81-3.13
Sr1 0.2500 0.2500 0.7500  4 O 2.65
Sr2 0.2500 0.7500 0.7500  12 O 2.89-2.99
Sr3 0.7500 0.2500 0.2500  12 O 2.89-2.99
Sr4 0.7500 0.7500 0.2500  4 O 2.65
La1 0.0000 0.0000 0.0000  6 O 2.33-2.35
La2 0.0000 0.5000 0.5000  6 O 2.33-2.35
La3 0.5000 0.0000 0.5000  6 O 2.33-2.35
La4 0.5000 0.5000 0.0000  6 O 2.33-2.35
Mn1 0.0000 0.0000 0.5000  6 O 1.89-1.93
Mn2 0.0000 0.5000 0.0000  6 O 1.89-1.93
Mn3 0.5000 0.0000 0.0000  6 O 1.89-1.93
Mn4 0.5000 0.5000 0.5000  6 O 1.89-1.93
O1 0.0065 0.0234 0.2765  1 Mn 1.91
O2 0.0065 0.4766 0.2235  1 Mn 1.91
O3 0.0196 0.7229 0.0178  1 Mn 1.89
O4 0.0196 0.7771 0.4822  1 Mn 1.89
O5 0.2263 0.0196 0.5381  1 Mn 1.93
O6 0.2263 0.4804 0.9619  1 Mn 1.93
O7 0.2737 0.0196 0.9619  1 Mn 1.93
O8 0.2737 0.4804 0.5381  1 Mn 1.93
O9 0.4804 0.7229 0.4822  1 Mn 1.89
O10 0.4804 0.7771 0.0178  1 Mn 1.89
O11 0.4935 0.0234 0.2235  1 Mn 1.91
O12 0.4935 0.4766 0.2765  1 Mn 1.91
O13 0.5065 0.5234 0.7235  1 Mn 1.91
O14 0.5065 0.9766 0.7765  1 Mn 1.91
O15 0.5196 0.2229 0.9822  1 Mn 1.89
O16 0.5196 0.2771 0.5178  1 Mn 1.89
O17 0.7263 0.5196 0.4619  1 Mn 1.93
O18 0.7263 0.9804 0.0381  1 Mn 1.93
O19 0.7737 0.5196 0.0381  1 Mn 1.93
O20 0.7737 0.9804 0.4619  1 Mn 1.93
O21 0.9804 0.2229 0.5178  1 Mn 1.89
O22 0.9804 0.2771 0.9822  1 Mn 1.89
O23 0.9935 0.5234 0.7765  1 Mn 1.91
O24 0.9935 0.9766 0.7235  1 Mn 1.91


ii.
First-principles (GGA+U) data for a relaxed KSrLaMnO6 crystal, as listed in Materials Project.

Results
Its total magnetization is 1.000 Bohr magnetons per cell.

Lattice parameters (Å, degrees): 6.0061 6.0061 6.0061 60.00 60.00 60.00
With the nearest neighbours (Å) after each atom.
Element x y z (fractional)
K1 0.0000 0.0000 0.0000  12 O 3.01
Sr1 0.5000 0.5000 0.5000  12 O 3.01
La1 0.7500 0.7500 0.7500  6 O 2.34
Mn1 0.2500 0.2500 0.2500  6 O 1.91
O1 0.0250 0.0250 0.4750  1 Mn 1.91
O2 0.0250 0.4750 0.0250  1 Mn 1.91
O3 0.0250 0.4750 0.4750  1 Mn 1.91
O4 0.4750 0.0250 0.0250  1 Mn 1.91
O5 0.4750 0.0250 0.4750  1 Mn 1.91
O6 0.4750 0.4750 0.0250  1 Mn 1.91


Need the numbers? Relative energies in meV/atom: i 0; ii 9.


i.
First-principles (GGA+U) data for a relaxed KSrLaWO6 crystal, as listed in Materials Project.

Results
Its total magnetization is 0.000 Bohr magnetons per cell.

Lattice parameters (Å, degrees): 6.1018 6.1018 6.1018 60.00 60.00 60.00
With the nearest neighbours (Å) after each atom.
Element x y z (fractional)
K1 0.0000 0.0000 0.0000  12 O 3.06
Sr1 0.5000 0.5000 0.5000  12 O 3.06
La1 0.2500 0.2500 0.2500  6 O 2.36
W1 0.7500 0.7500 0.7500  6 O 1.95
O1 0.5236 0.5236 0.9764  1 W 1.95
O2 0.5236 0.9764 0.5236  1 W 1.95
O3 0.5236 0.9764 0.9764  1 W 1.95
O4 0.9764 0.5236 0.5236  1 W 1.95
O5 0.9764 0.5236 0.9764  1 W 1.95
O6 0.9764 0.9764 0.5236  1 W 1.95


ii.
First-principles (GGA+U) data for a relaxed KSrLaWO6 crystal, as listed in Materials Project.

Results
Its total magnetization is 0.000 Bohr magnetons per cell.

Lattice parameters (Å, degrees): 8.5439 8.5478 8.5672 90.00 90.00 90.00
With the nearest neighbours (Å) after each atom.
Element x y z (fractional)
K1 0.2500 0.2500 0.2500  4 O 2.69
K2 0.2500 0.7500 0.2500  4 O 2.71
K3 0.7500 0.2500 0.7500  4 O 2.71
K4 0.7500 0.7500 0.7500  4 O 2.69
Sr1 0.2500 0.2500 0.7500  4 O 2.60
Sr2 0.2500 0.7500 0.7500  12 O 2.97-3.01
Sr3 0.7500 0.2500 0.2500  12 O 2.97-3.01
Sr4 0.7500 0.7500 0.2500  4 O 2.60
La1 0.0000 0.0000 0.0000  6 O 2.38-2.39
La2 0.0000 0.5000 0.5000  6 O 2.38-2.39
La3 0.5000 0.0000 0.5000  6 O 2.38-2.39
La4 0.5000 0.5000 0.0000  6 O 2.38-2.39
W1 0.0000 0.0000 0.5000  6 O 1.95-1.98
W2 0.0000 0.5000 0.0000  6 O 1.95-1.98
W3 0.5000 0.0000 0.0000  6 O 1.95-1.98
W4 0.5000 0.5000 0.5000  6 O 1.95-1.98
O1 0.0256 0.2245 0.4682  1 W 1.95
O2 0.0256 0.2755 0.0318  1 W 1.95
O3 0.0434 0.0283 0.7254  1 W 1.98
O4 0.0434 0.4717 0.7746  1 W 1.98
O5 0.2243 0.5335 0.0206  1 W 1.95
O6 0.2243 0.9665 0.4794  1 W 1.95
O7 0.2757 0.5335 0.4794  1 W 1.95
O8 0.2757 0.9665 0.0206  1 W 1.95
O9 0.4566 0.0283 0.7746  1 W 1.98
O10 0.4566 0.4717 0.7254  1 W 1.98
O11 0.4744 0.2245 0.0318  1 W 1.95
O12 0.4744 0.2755 0.4682  1 W 1.95
O13 0.5256 0.7245 0.5318  1 W 1.95
O14 0.5256 0.7755 0.9682  1 W 1.95
O15 0.5434 0.5283 0.2746  1 W 1.98
O16 0.5434 0.9717 0.2254  1 W 1.98
O17 0.7243 0.0335 0.9794  1 W 1.95
O18 0.7243 0.4665 0.5206  1 W 1.95
O19 0.7757 0.0335 0.5206  1 W 1.95
O20 0.7757 0.4665 0.9794  1 W 1.95
O21 0.9566 0.5283 0.2254  1 W 1.98
O22 0.9566 0.9717 0.2746  1 W 1.98
O23 0.9744 0.7245 0.9682  1 W 1.95
O24 0.9744 0.7755 0.5318  1 W 1.95


Need the numbers? Relative energies in meV/atom: i 21; ii 0.


i.
First-principles (GGA+U) data for a relaxed KMgMn2Mo2O10 crystal, as listed in Materials Project.

Results
Its total magnetization is 9.003 Bohr magnetons per cell.

Lattice parameters (Å, degrees): 6.1426 6.1822 7.9683 106.97 98.22 115.55
With the nearest neighbours (Å) after each atom.
Element x y z (fractional)
K1 0.0000 0.0000 0.0000  7 O 2.69-2.99
Mg1 0.0581 0.5821 0.6216  4 O 1.93-2.10
Mn1 0.0108 0.9782 0.4784  4 O 1.88-2.10
Mn2 0.4980 0.4600 0.4606  3 O 2.02-2.19
Mo1 0.4167 0.7943 0.1877  4 O 1.78-1.84
Mo2 0.6075 0.1726 0.7651  4 O 1.73-1.86
O1 0.1925 0.3492 0.5547  2 Mn 1.91-2.04, 1 Mg 1.93
O2 0.2547 0.9879 0.6976  1 Mo 1.86
O3 0.2868 0.7179 0.9498  1 Mo 1.78
O4 0.3021 0.5046 0.2321  1 Mo 1.78
O5 0.3244 0.0154 0.3259  1 Mo 1.84
O6 0.7155 0.9577 0.6535  1 Mo 1.80
O7 0.7288 0.2680 0.0009  1 Mo 1.73
O8 0.7439 0.4618 0.7123  1 Mo 1.82
O9 0.7599 0.9401 0.2574  1 Mo 1.82
O10 0.8448 0.6196 0.4281  2 Mn 1.88-2.02, 1 Mg 2.01


ii.
First-principles (GGA+U) data for a relaxed KMgMn2Mo2O10 crystal, as listed in Materials Project.

Results
Its total magnetization is 9.003 Bohr magnetons per cell.

Lattice parameters (Å, degrees): 6.1569 6.1680 8.3566 109.10 91.97 119.45
With the nearest neighbours (Å) after each atom.
Element x y z (fractional)
K1 0.0000 0.0000 0.0000  4 O 2.92-3.22
Mg1 0.0292 0.5372 0.5036  2 O 1.98
Mn1 0.0279 0.0369 0.5062  2 O 1.88
Mn2 0.5249 0.5310 0.4997  2 O 1.98
Mo1 0.4404 0.8712 0.2501  4 O 1.74-1.85
Mo2 0.6170 0.2028 0.7581  4 O 1.74-1.85
O1 0.2241 0.4172 0.6041  2 Mn 1.88-1.98, 1 Mg 1.98
O2 0.2663 0.9846 0.6635  1 Mo 1.85
O3 0.2946 0.5956 0.3245  1 Mo 1.82
O4 0.2958 0.0731 0.3176  1 Mo 1.82
O5 0.3889 0.7438 0.0238  1 Mo 1.74
O6 0.6820 0.3489 0.9846  1 Mo 1.74
O7 0.7584 0.9976 0.6920  1 Mo 1.82
O8 0.7594 0.4714 0.6774  1 Mo 1.82
O9 0.7893 0.0893 0.3487  1 Mo 1.85
O10 0.8331 0.6567 0.4038  2 Mn 1.88-1.98, 1 Mg 1.98


Need the numbers? Relative energies in meV/atom: i 10; ii 0.


i.
First-principles (GGA+U) data for a relaxed KMgMn4O8 crystal, as listed in Materials Project.

Results
Its total magnetization is 15.000 Bohr magnetons per cell.

Lattice parameters (Å, degrees): 2.9982 7.4206 7.6862 78.30 79.16 81.00
With the nearest neighbours (Å) after each atom.
Element x y z (fractional)
K1 0.0000 0.0000 0.0000  5 O 2.57-2.75
Mg1 0.7640 0.2723 0.2708  5 O 2.02-2.10
Mn1 0.0584 0.6204 0.2887  5 O 1.96-2.10
Mn2 0.2255 0.8946 0.5900  6 O 1.93-2.04
Mn3 0.4929 0.2663 0.6250  5 O 1.90-2.02
Mn4 0.7148 0.5316 0.9179  5 O 1.94-2.14
O1 0.2022 0.6716 0.7830  3 Mn 1.94-2.04
O2 0.2250 0.1599 0.4506  2 Mn 2.02-2.04, 2 Mg 2.08-2.10
O3 0.3095 0.3629 0.0964  2 Mg 2.02-2.03, 1 Mn 2.02
O4 0.5568 0.4804 0.4174  3 Mn 1.96-2.01, 1 Mg 2.04
O5 0.5974 0.7019 0.1191  3 Mn 1.97-2.14
O6 0.6244 0.9937 0.7205  3 Mn 2.00-2.01
O7 0.8364 0.8287 0.4457  3 Mn 1.93-2.10
O8 0.8710 0.3323 0.7681  3 Mn 1.90-2.02


ii.
First-principles (GGA+U) data for a relaxed KMgMn4O8 crystal, as listed in Materials Project.

Results
Its total magnetization is 15.000 Bohr magnetons per cell.

Lattice parameters (Å, degrees): 3.2053 7.5516 7.6049 87.89 77.90 79.93
With the nearest neighbours (Å) after each atom.
Element x y z (fractional)
K1 0.0000 0.0000 0.0000  5 O 2.96-3.22, 2 K 3.21
Mg1 0.2513 0.5067 0.5002  4 O 1.93-1.96
Mn1 0.0751 0.1648 0.5214  5 O 1.93-2.04
Mn2 0.4263 0.5141 0.8370  5 O 1.94-2.03
Mn3 0.7451 0.8357 0.4747  5 O 1.95-2.12
Mn4 0.7694 0.4658 0.1660  5 O 1.95-2.12
O1 0.2181 0.9610 0.3607  3 Mn 1.93-2.12
O2 0.3878 0.6882 0.6409  1 Mg 1.93, 2 Mn 1.96-1.97
O3 0.4119 0.3515 0.0404  3 Mn 1.94-2.12
O4 0.5602 0.0447 0.6338  3 Mn 1.95-2.04
O5 0.6577 0.3027 0.3754  1 Mg 1.96, 2 Mn 1.99-2.04
O6 0.8312 0.6244 0.9569  3 Mn 1.95-2.03
O7 0.9662 0.3656 0.6944  1 Mg 1.95, 2 Mn 1.98-2.01
O8 0.9839 0.6286 0.3122  1 Mg 1.94, 2 Mn 1.97-1.98


iii.
First-principles (GGA+U) data for a relaxed KMgMn4O8 crystal, as listed in Materials Project.

Results
Its total magnetization is 15.000 Bohr magnetons per cell.

Lattice parameters (Å, degrees): 3.1629 7.3508 7.4912 91.00 97.66 98.29
With the nearest neighbours (Å) after each atom.
Element x y z (fractional)
K1 0.0000 0.0000 0.0000  4 O 2.57-2.73
Mg1 0.6277 0.2774 0.6986  4 O 1.90-1.99
Mn1 0.2298 0.6003 0.7765  5 O 1.92-2.10
Mn2 0.2420 0.2370 0.3760  5 O 1.89-2.08
Mn3 0.6245 0.8799 0.4610  5 O 1.94-2.12
Mn4 0.8636 0.5784 0.1377  6 O 1.92-2.11
O1 0.0064 0.7559 0.3359  3 Mn 1.92-2.12
O2 0.1202 0.3879 0.5881  2 Mg 1.94-1.99, 2 Mn 2.03-2.05
O3 0.3067 0.0509 0.5800  1 Mg 1.95, 2 Mn 1.99-2.08
O4 0.3292 0.4324 0.2186  3 Mn 1.89-2.04
O5 0.3860 0.7145 0.0203  3 Mn 1.97-2.11
O6 0.6413 0.0948 0.2821  3 Mn 1.94-2.09
O7 0.7082 0.7374 0.6823  3 Mn 1.92-2.10
O8 0.7770 0.4453 0.9001  1 Mg 1.90, 2 Mn 1.98-2.03


iv.
First-principles (GGA+U) data for a relaxed KMgMn4O8 crystal, as listed in Materials Project.

Results
Its total magnetization is 15.004 Bohr magnetons per cell.

Lattice parameters (Å, degrees): 6.0958 6.1383 6.4068 117.32 90.17 119.74
With the nearest neighbours (Å) after each atom.
Element x y z (fractional)
K1 0.0000 0.0000 0.0000  6 O 2.42-2.48
Mg1 0.5000 0.0000 0.0000  6 O 2.26-2.32
Mn1 0.0000 0.0000 0.5000  6 O 2.22-2.25
Mn2 0.0000 0.5000 0.5000  6 O 1.95-2.00
Mn3 0.5000 0.0000 0.5000  6 O 1.98-2.17
Mn4 0.5000 0.5000 0.5000  6 O 1.96-2.00
O1 0.2453 0.9353 0.6929  2 Mn 1.97-1.99
O2 0.2495 0.4975 0.7018  2 Mn 2.00
O3 0.2598 0.5212 0.3186  3 Mn 1.95-2.17
O4 0.3091 0.0646 0.3083  2 Mn 1.97-1.98
O5 0.6909 0.9354 0.6917  2 Mn 1.97-1.98
O6 0.7402 0.4788 0.6814  3 Mn 1.95-2.17
O7 0.7505 0.5025 0.2982  2 Mn 2.00
O8 0.7547 0.0647 0.3071  2 Mn 1.97-1.99


Need the numbers? Relative energies in meV/atom: i 0; ii 8; iii 51; iv 28.